DFT (PBE-GGA) results for an optimized crystal structure of As2O3.

a b c (Å): 4.6854 8.3098 11.6982
angles (deg): 56.31 90.00 90.00
Last column: nearest neighbours and their distance in Å.
Atoms (fractional coordinates):
O 0.8278 0.4206 0.8132  2 As 1.82-1.85
O 0.5134 0.9678 0.7117  2 As 1.82-1.83
O 0.1249 0.6714 0.8602  2 As 1.82-1.84
O 0.0134 0.0322 0.7883  2 As 1.82-1.83
O 0.8751 0.3286 0.1398  2 As 1.82-1.84
O 0.3751 0.6714 0.3602  2 As 1.82-1.84
O 0.4866 0.0322 0.2883  2 As 1.82-1.83
O 0.1722 0.5794 0.1868  2 As 1.82-1.85
O 0.6722 0.4206 0.3132  2 As 1.82-1.85
O 0.9866 0.9678 0.2117  2 As 1.82-1.83
O 0.6249 0.3286 0.6398  2 As 1.82-1.84
O 0.3278 0.5794 0.6868  2 As 1.82-1.85
As 0.6387 0.0836 0.7975  3 O 1.82-1.84
As 0.8613 0.0836 0.2975  3 O 1.82-1.84
As 0.3613 0.9164 0.2025  3 O 1.82-1.84
As 0.1805 0.4529 0.8628  3 O 1.82-1.85
As 0.3195 0.4529 0.3628  3 O 1.82-1.85
As 0.1387 0.9164 0.7025  3 O 1.82-1.84
As 0.6805 0.5471 0.6372  3 O 1.82-1.85
As 0.8195 0.5471 0.1372  3 O 1.82-1.85

Computed properties:
ΔH_f (0 K) (meV per atom): -1629
Space group: P2_1/c (14)
Volume (A^3/atom): 18.948
Energy with MP2020 corrections (eV per cell): -129.23